Record 1
Material: Sc4Al
Method: DFT, PBE
State: optimized geometry

abc: 7.293 7.293 7.293
angles: 60.00 60.00 60.00
Positions (direct):
Sc 0.186 0.771 0.771
Sc 0.229 0.229 0.229
Sc 0.229 0.229 0.814
Sc 0.229 0.814 0.229
Sc 0.771 0.186 0.771
Sc 0.771 0.771 0.186
Sc 0.771 0.771 0.771
Sc 0.814 0.229 0.229
Al 0.375 0.375 0.375
Al 0.625 0.625 0.625

Computed properties:
ΔH_f (0 K) = 0.521 eV/atom

=====

Record 2
Material: ZrU3S6
Method: DFT, PBE
State: optimized geometry

abc: 3.699 10.506 10.391
angles: 90.00 90.00 90.00
Positions (direct):
Zr 0.000 0.223 0.000
Zr 0.000 0.777 0.500
U 0.000 0.436 0.319
U 0.000 0.564 0.819
U 0.500 0.071 0.293
U 0.500 0.258 0.618
U 0.500 0.742 0.118
U 0.500 0.929 0.793
S 0.000 0.121 0.759
S 0.000 0.196 0.431
S 0.000 0.447 0.585
S 0.000 0.553 0.085
S 0.000 0.804 0.931
S 0.000 0.879 0.259
S 0.500 0.044 0.032
S 0.500 0.304 0.171
S 0.500 0.372 0.866
S 0.500 0.628 0.366
S 0.500 0.696 0.671
S 0.500 0.956 0.532

Computed properties:
ΔH_f (0 K) = -1.751 eV/atom

=====

Record 3
Material: Ba20Nb19Se60
Method: DFT, PBE
State: optimized geometry

abc: 13.985 14.474 15.660
angles: 62.48 81.16 74.92
Positions (direct):
Ba 0.034 0.325 0.320
Ba 0.034 0.838 0.320
Ba 0.166 0.667 0.083
Ba 0.167 0.164 0.088
Ba 0.230 0.838 0.710
Ba 0.234 0.333 0.717
Ba 0.364 0.672 0.482
Ba 0.365 0.163 0.483
Ba 0.433 0.332 0.118
Ba 0.433 0.834 0.117
Ba 0.567 0.166 0.883
Ba 0.567 0.668 0.882
Ba 0.635 0.837 0.517
Ba 0.636 0.328 0.518
Ba 0.766 0.667 0.283
Ba 0.770 0.162 0.290
Ba 0.833 0.836 0.912
Ba 0.834 0.333 0.917
Ba 0.966 0.162 0.680
Ba 0.966 0.675 0.680
Nb 0.000 0.000 0.000
Nb 0.000 0.500 0.000
Nb 0.000 0.500 0.500
Nb 0.181 0.999 0.409
Nb 0.200 0.499 0.400
Nb 0.201 0.000 0.900
Nb 0.201 0.499 0.901
Nb 0.399 0.000 0.301
Nb 0.399 0.499 0.300
Nb 0.399 0.500 0.800
Nb 0.403 0.000 0.799
Nb 0.597 0.000 0.201
Nb 0.601 0.000 0.699
Nb 0.601 0.500 0.200
Nb 0.601 0.501 0.700
Nb 0.799 0.000 0.100
Nb 0.799 0.501 0.099
Nb 0.800 0.501 0.600
Nb 0.819 0.001 0.591
Se 0.031 0.587 0.311
Se 0.035 0.087 0.309
Se 0.065 0.174 0.881
Se 0.065 0.414 0.880
Se 0.066 0.674 0.881
Se 0.066 0.913 0.881
Se 0.135 0.326 0.520
Se 0.135 0.586 0.520
Se 0.139 0.087 0.517
Se 0.139 0.826 0.518
Se 0.169 0.413 0.089
Se 0.169 0.913 0.090
Se 0.229 0.087 0.712
Se 0.230 0.586 0.711
Se 0.265 0.414 0.280
Se 0.265 0.674 0.280
Se 0.269 0.172 0.280
Se 0.269 0.914 0.279
Se 0.333 0.087 0.920
Se 0.334 0.826 0.920
Se 0.335 0.326 0.920
Se 0.335 0.586 0.920
Se 0.369 0.414 0.489
Se 0.372 0.914 0.486
Se 0.431 0.587 0.111
Se 0.433 0.087 0.109
Se 0.462 0.175 0.681
Se 0.462 0.913 0.682
Se 0.465 0.413 0.681
Se 0.465 0.674 0.680
Se 0.535 0.326 0.320
Se 0.535 0.587 0.319
Se 0.538 0.087 0.318
Se 0.538 0.825 0.319
Se 0.567 0.913 0.891
Se 0.569 0.413 0.889
Se 0.628 0.086 0.514
Se 0.631 0.586 0.511
Se 0.665 0.414 0.080
Se 0.665 0.674 0.080
Se 0.666 0.174 0.080
Se 0.667 0.913 0.080
Se 0.731 0.086 0.721
Se 0.731 0.828 0.720
Se 0.735 0.326 0.720
Se 0.735 0.586 0.720
Se 0.770 0.414 0.289
Se 0.771 0.913 0.288
Se 0.831 0.087 0.910
Se 0.831 0.587 0.911
Se 0.861 0.174 0.482
Se 0.861 0.913 0.483
Se 0.865 0.414 0.480
Se 0.865 0.674 0.480
Se 0.934 0.087 0.119
Se 0.934 0.326 0.119
Se 0.935 0.586 0.120
Se 0.935 0.826 0.119
Se 0.965 0.913 0.691
Se 0.969 0.413 0.689

Computed properties:
ΔH_f (0 K) = -1.558 eV/atom

=====

Record 4
Material: Ca3In4Ni8
Method: DFT, PBE
State: optimized geometry

abc: 8.981 8.981 7.544
angles: 90.00 90.00 120.00
Positions (direct):
Ca 0.059 0.530 0.000
Ca 0.470 0.530 0.000
Ca 0.470 0.941 0.000
Ca 0.530 0.059 0.500
Ca 0.530 0.470 0.500
Ca 0.941 0.470 0.500
In 0.169 0.339 0.696
In 0.169 0.831 0.696
In 0.333 0.667 0.340
In 0.339 0.169 0.196
In 0.661 0.831 0.696
In 0.667 0.333 0.840
In 0.831 0.169 0.196
In 0.831 0.661 0.196
Ni 0.000 0.000 0.268
Ni 0.000 0.000 0.768
Ni 0.098 0.196 0.016
Ni 0.098 0.902 0.016
Ni 0.160 0.320 0.328
Ni 0.160 0.840 0.328
Ni 0.196 0.098 0.516
Ni 0.320 0.160 0.828
Ni 0.333 0.667 0.694
Ni 0.667 0.333 0.194
Ni 0.680 0.840 0.328
Ni 0.804 0.902 0.016
Ni 0.840 0.160 0.828
Ni 0.840 0.680 0.828
Ni 0.902 0.098 0.516
Ni 0.902 0.804 0.516

Computed properties:
ΔH_f (0 K) = -0.257 eV/atom